Record 1
Computed, not measured: crystalline BaSn6Ru3 at its relaxed geometry at the PBE level of DFT.

Output
ρ   7.83 Mg/m³
Formation energy   -0.3030 eV per atom

Geometry as CIF:
```
data_BaSn6Ru3
_chemical_formula_sum 'Ba4 Sn24 Ru12'
_cell_length_a 8.235
_cell_length_b 26.521
_cell_length_c 4.479
_cell_angle_alpha 90.00
_cell_angle_beta 90.00
_cell_angle_gamma 90.00
_space_group_name_H-M_alt 'C m c m'
_space_group_IT_number 63
_space_group_name_Hall '-C 2c 2'
loop_
_atom_site_label
_atom_site_fract_x
_atom_site_fract_y
_atom_site_fract_z
_atom_site_occupancy
Ba1 0.000 0.088 0.250 1
Sn1 0.000 0.250 0.250 1
Sn2 0.000 0.365 0.750 1
Sn3 0.190 0.177 0.750 1
Sn4 0.193 0.454 0.250 1
Ru1 0.000 0.462 0.750 1
Ru2 0.189 0.285 0.750 1
```

---

Record 2
Computed, not measured: crystalline BaS3 at its relaxed geometry at the PBE level of DFT.

Output
Largest piezoelectric modulus   0.138 C/m²
ρ   3.48 Mg/m³
Formation energy   -1.4090 eV per atom

Geometry as CIF:
```
data_BaS3
_chemical_formula_sum 'Ba4 S12'
_cell_length_a 8.610
_cell_length_b 10.125
_cell_length_c 5.107
_cell_angle_alpha 90.00
_cell_angle_beta 90.00
_cell_angle_gamma 90.00
_space_group_name_H-M_alt 'P 21 21 2'
_space_group_IT_number 18
loop_
_space_group_symop_operation_xyz
'x,y,z'
'-x,-y,z'
'x+1/2,-y+1/2,-z'
'-x+1/2,y+1/2,-z'
loop_
_atom_site_label
_atom_site_fract_x
_atom_site_fract_y
_atom_site_fract_z
_atom_site_occupancy
Ba1 0.000 0.000 0.007 1
Ba2 0.000 0.500 0.977 1
S1 0.187 0.208 0.594 1
S2 0.246 0.009 0.530 1
S3 0.249 0.249 0.984 1
```

---

Record 3
Computed, not measured: crystalline BaS3 at its relaxed geometry at the PBE level of DFT.

Output
Largest piezoelectric modulus   0.419 C/m²
ρ   3.76 Mg/m³
Formation energy   -1.4350 eV per atom

Geometry as CIF:
```
data_BaS3
_chemical_formula_sum 'Ba2 S6'
_cell_length_a 6.984
_cell_length_b 6.984
_cell_length_c 4.234
_cell_angle_alpha 90.00
_cell_angle_beta 90.00
_cell_angle_gamma 90.00
_space_group_name_H-M_alt 'P -4 21 m'
_space_group_IT_number 113
loop_
_space_group_symop_operation_xyz
'x,y,z'
'y,-x,-z'
'-x,-y,z'
'-y,x,-z'
'x+1/2,-y+1/2,-z'
'y+1/2,x+1/2,z'
'-x+1/2,y+1/2,-z'
'-y+1/2,-x+1/2,z'
loop_
_atom_site_label
_atom_site_fract_x
_atom_site_fract_y
_atom_site_fract_z
_atom_site_occupancy
Ba1 0.000 0.000 0.000 1
S1 0.000 0.500 0.210 1
S2 0.178 0.678 0.474 1
```

---

Number 1 is which compound? BaSn6Ru3

---

What did the second record say?
Computed, not measured: crystalline BaS3 at its relaxed geometry at the PBE level of DFT.

Output
Largest piezoelectric modulus   0.138 C/m²
ρ   3.48 Mg/m³
Formation energy   -1.4090 eV per atom

Geometry as CIF:
```
data_BaS3
_chemical_formula_sum 'Ba4 S12'
_cell_length_a 8.610
_cell_length_b 10.125
_cell_length_c 5.107
_cell_angle_alpha 90.00
_cell_angle_beta 90.00
_cell_angle_gamma 90.00
_space_group_name_H-M_alt 'P 21 21 2'
_space_group_IT_number 18
loop_
_space_group_symop_operation_xyz
'x,y,z'
'-x,-y,z'
'x+1/2,-y+1/2,-z'
'-x+1/2,y+1/2,-z'
loop_
_atom_site_label
_atom_site_fract_x
_atom_site_fract_y
_atom_site_fract_z
_atom_site_occupancy
Ba1 0.000 0.000 0.007 1
Ba2 0.000 0.500 0.977 1
S1 0.187 0.208 0.594 1
S2 0.246 0.009 0.530 1
S3 0.249 0.249 0.984 1
```

---

Repeat the second record exactly.
Computed, not measured: crystalline BaS3 at its relaxed geometry at the PBE level of DFT.

Output
Largest piezoelectric modulus   0.138 C/m²
ρ   3.48 Mg/m³
Formation energy   -1.4090 eV per atom

Geometry as CIF:
```
data_BaS3
_chemical_formula_sum 'Ba4 S12'
_cell_length_a 8.610
_cell_length_b 10.125
_cell_length_c 5.107
_cell_angle_alpha 90.00
_cell_angle_beta 90.00
_cell_angle_gamma 90.00
_space_group_name_H-M_alt 'P 21 21 2'
_space_group_IT_number 18
loop_
_space_group_symop_operation_xyz
'x,y,z'
'-x,-y,z'
'x+1/2,-y+1/2,-z'
'-x+1/2,y+1/2,-z'
loop_
_atom_site_label
_atom_site_fract_x
_atom_site_fract_y
_atom_site_fract_z
_atom_site_occupancy
Ba1 0.000 0.000 0.007 1
Ba2 0.000 0.500 0.977 1
S1 0.187 0.208 0.594 1
S2 0.246 0.009 0.530 1
S3 0.249 0.249 0.984 1
```